Compound: SiO2
Source: the Materials Project
Functional: GGA-PBE
Structure: relaxed

abc: 6.9048 6.9048 6.9048
angles: 98.38 98.38 135.12
Last column: nearest neighbours and their distance in Å.
Element x y z (fractional)
Si 0.1767 0.1767 0.3534  4 O 1.62
Si 0.1767 0.8233 0.0000  4 O 1.62
Si 0.8233 0.1767 0.0000  4 O 1.62
Si 0.8233 0.8233 0.6466  4 O 1.62
O 0.0000 0.0000 0.5000  2 Si 1.62
O 0.0000 0.2089 0.2089  2 Si 1.62
O 0.0000 0.5000 0.0000  2 Si 1.62
O 0.0000 0.7911 0.7911  2 Si 1.62
O 0.2089 0.0000 0.2089  2 Si 1.62
O 0.5000 0.0000 0.0000  2 Si 1.62
O 0.5000 0.5000 0.5000  2 Si 1.62
O 0.7911 0.0000 0.7911  2 Si 1.62

## Properties
uncorrected energy: -94.9 eV/cell
DFT formation energy: -3257 meV per atom